(1)
Entry from the Materials Project: a geometry-optimized Cr3C2 structure (r²SCAN).

Properties
- ΔE to the lowest computed polymorph (kJ/mol of formula units) = 16.7
- space group = Cmcm, No. 63
- crystal system = orthorhombic
- ΔH_f (0 K) (meV per atom) = 72
- DFT total energy (Ry/atom) = -0.952

POSCAR file:
```
Cr3C2
1.0
1.405 -4.591 0.000
1.405 4.591 0.000
0.000 0.000 6.842
Cr C
6 4
Cartesian
1.405 3.681 5.132
1.405 1.314 3.903
1.405 1.314 6.360
1.405 -1.314 0.482
1.405 -1.314 2.939
1.405 -3.681 1.711
0.000 0.000 0.000
0.000 0.000 3.421
1.405 2.242 1.711
1.405 -2.242 5.132
```


(2)
Entry from the Materials Project: a geometry-optimized LiCrS2 structure (r²SCAN).

Properties
- space group = P-3m1, No. 164
- crystal system = trigonal
- ΔH_f (0 K) (meV per atom) = -1286
- DFT total energy (Ry/atom) = -0.711

POSCAR file:
```
LiCrS2
1.0
3.494 0.000 0.000
-1.747 3.026 0.000
0.000 0.000 5.971
Li Cr S
1 1 2
Cartesian
0.000 0.000 0.000
0.000 0.000 2.986
0.000 2.017 4.321
1.747 1.009 1.650
```


(3)
Entry from the Materials Project: a geometry-optimized Dy7Cu3Te12 structure (r²SCAN).

Properties
- space group = P1, No. 1
- crystal system = triclinic
- ΔH_f (0 K) (meV per atom) = -1336
- DFT total energy (Ry/atom) = -1.974

POSCAR file:
```
Dy7Cu3Te12
1.0
7.510 0.000 0.000
-3.754 6.507 0.000
-1.241 -2.137 14.001
Dy Cu Te
7 3 12
Cartesian
0.000 0.000 0.000
-2.509 4.372 3.532
-1.258 2.226 7.125
-1.287 2.244 13.994
2.507 0.015 7.117
3.749 2.247 0.003
2.513 4.435 7.119
-0.018 0.054 9.563
-0.007 4.404 9.560
1.263 2.242 11.711
-1.260 2.214 1.798
0.020 0.059 5.337
-2.519 4.375 8.957
-0.021 0.052 12.229
2.493 0.039 1.802
-0.007 4.374 5.343
1.291 2.225 8.939
-0.014 4.433 12.230
2.482 4.382 1.811
3.748 2.244 5.363
4.988 0.082 8.936
3.771 2.235 12.216
```


(4)
Entry from the Materials Project: a geometry-optimized Na2NbF6 structure (r²SCAN).

Properties
- space group = P4_2/mnm, No. 136
- crystal system = tetragonal
- ΔH_f (0 K) (meV per atom) = -3130
- DFT total energy (Ry/atom) = -0.643

POSCAR file:
```
Na2NbF6
1.0
4.989 0.000 0.000
0.000 4.989 0.000
0.000 0.000 10.259
Na Nb F
4 2 12
Cartesian
0.000 0.000 1.718
0.000 0.000 8.541
2.494 2.494 3.411
2.494 2.494 6.848
0.000 0.000 5.130
2.494 2.494 0.000
0.936 0.936 3.589
0.936 0.936 6.670
1.104 1.104 0.000
1.391 3.598 5.130
1.559 3.430 1.541
1.559 3.430 8.719
3.430 1.559 1.541
3.430 1.559 8.719
3.598 1.391 5.130
3.885 3.885 0.000
4.053 4.053 3.589
4.053 4.053 6.670
```


(5)
Entry from the Materials Project: a geometry-optimized Nb3B2Ru5 structure (r²SCAN).

Properties
- space group = P4/mbm, No. 127
- crystal system = tetragonal
- ΔH_f (0 K) (meV per atom) = -489
- DFT total energy (Ry/atom) = -1.624

POSCAR file:
```
Nb3B2Ru5
1.0
9.443 0.000 0.000
0.000 9.443 0.000
0.000 0.000 3.005
Nb B Ru
6 4 10
Cartesian
0.000 0.000 0.000
1.666 3.056 0.000
3.056 7.777 0.000
4.722 4.722 0.000
6.388 1.666 0.000
7.777 6.388 0.000
1.144 5.866 0.000
3.578 1.144 0.000
5.866 8.299 0.000
8.299 3.578 0.000
0.000 4.722 1.503
0.672 7.374 1.503
2.069 0.672 1.503
2.652 5.393 1.503
4.050 2.652 1.503
4.722 0.000 1.503
5.393 6.791 1.503
6.791 4.050 1.503
7.374 8.771 1.503
8.771 2.069 1.503
```


(6)
Entry from the Materials Project: a geometry-optimized ErTh structure (r²SCAN).

Properties
- space group = R-3m, No. 166
- crystal system = trigonal
- ΔH_f (0 K) (meV per atom) = 37
- DFT total energy (Ry/atom) = -3.944

POSCAR file:
```
ErTh
1.0
1.779 1.027 5.682
-1.779 1.027 5.682
0.000 -2.054 5.682
Er Th
1 1
Cartesian
0.000 0.000 0.000
0.000 0.000 8.523
```


(7)
Entry from the Materials Project: a geometry-optimized TbAg3 structure (r²SCAN).

Properties
- ΔE to the lowest computed polymorph (kJ/mol of formula units) = 0.0
- space group = I4/mmm, No. 139
- crystal system = tetragonal
- ΔH_f (0 K) (meV per atom) = -223
- DFT total energy (Ry/atom) = -1.767

POSCAR file:
```
TbAg3
1.0
-2.215 2.215 4.115
2.215 -2.215 4.115
2.215 2.215 -4.115
Tb Ag
1 3
Cartesian
0.000 0.000 0.000
2.215 0.000 2.057
0.000 0.000 4.115
0.000 2.215 2.057
```


(8)
Entry from the Materials Project: a geometry-optimized NdAlPt structure (r²SCAN).

Properties
- space group = Pnma, No. 62
- crystal system = orthorhombic
- ΔH_f (0 K) (meV per atom) = -1153
- DFT total energy (Ry/atom) = -2.232

POSCAR file:
```
NdAlPt
1.0
7.190 0.000 0.000
0.000 4.478 0.000
0.000 0.000 7.799
Nd Al Pt
4 4 4
Cartesian
0.207 1.119 1.417
3.388 3.358 5.317
3.802 1.119 2.482
6.983 3.358 6.382
1.034 1.119 4.426
2.561 3.358 0.527
4.629 1.119 7.273
6.156 3.358 3.373
1.551 3.358 3.031
2.044 1.119 6.930
5.146 3.358 0.869
5.639 1.119 4.768
```


(9)
Entry from the Materials Project: a geometry-optimized Er12Mn5C15 structure (r²SCAN).

Properties
- space group = Amm2, No. 38
- crystal system = orthorhombic
- ΔH_f (0 K) (meV per atom) = -493
- DFT total energy (Ry/atom) = -1.483

POSCAR file:
```
Er12Mn5C15
1.0
4.974 0.000 0.000
0.000 8.979 5.192
0.000 -8.979 5.192
Er Mn C
12 5 15
Cartesian
0.000 0.000 0.000
0.000 -3.852 3.659
0.000 0.000 3.711
0.000 3.852 3.659
0.000 -1.854 6.977
0.000 1.854 6.977
2.487 -6.572 4.026
2.487 -1.664 2.132
2.487 1.664 2.132
2.487 -4.084 6.328
2.487 6.572 4.026
2.487 4.084 6.328
0.000 -5.977 5.893
0.000 5.977 5.893
2.487 -1.385 5.100
2.487 1.385 5.100
2.487 0.000 7.492
0.000 -6.457 4.199
0.000 -1.755 1.962
0.000 1.755 1.962
0.000 -4.271 6.331
0.000 6.457 4.199
0.000 4.271 6.331
2.487 0.000 0.265
2.487 -4.113 3.509
2.487 -2.947 4.185
2.487 0.000 3.745
2.487 4.113 3.509
2.487 2.947 4.185
2.487 -1.875 6.975
2.487 1.875 6.975
2.487 0.000 9.296
```


(10)
Entry from the Materials Project: a geometry-optimized SiO2 structure (r²SCAN).

Properties
- space group = C2/m, No. 12
- crystal system = monoclinic
- ΔH_f (0 K) (meV per atom) = -2972
- DFT total energy (Ry/atom) = -0.726

POSCAR file:
```
SiO2
1.0
6.409 -11.187 0.000
6.409 11.187 0.000
-1.187 0.000 4.796
Si O
12 24
Cartesian
0.588 1.478 1.466
2.213 3.991 1.188
4.573 5.674 1.422
0.588 -1.478 1.466
7.058 5.674 3.373
2.213 -3.991 1.188
9.418 3.991 3.607
4.573 -5.674 1.422
11.043 1.478 3.329
7.058 -5.674 3.373
9.418 -3.991 3.607
11.043 -1.478 3.329
3.535 6.606 2.210
6.409 9.858 0.000
1.900 2.411 1.316
5.816 9.070 2.398
4.962 6.475 0.061
0.984 0.000 2.021
3.805 4.285 1.053
5.816 5.358 2.398
1.900 -2.411 1.316
6.670 6.475 4.734
8.097 6.606 2.586
7.826 4.285 3.743
3.805 -4.285 1.053
3.535 -6.606 2.210
4.962 -6.475 0.061
9.732 2.411 3.480
5.816 -5.358 2.398
7.826 -4.285 3.743
10.647 0.000 2.774
6.670 -6.475 4.734
5.816 -9.070 2.398
9.732 -2.411 3.480
6.409 -9.858 0.000
8.097 -6.606 2.586
```


(11)
Entry from the Materials Project: a geometry-optimized LaTb3 structure (r²SCAN).

Properties
- space group = I4/mmm, No. 139
- crystal system = tetragonal
- ΔH_f (0 K) (meV per atom) = 46
- DFT total energy (Ry/atom) = -2.264

POSCAR file:
```
LaTb3
1.0
-2.568 2.568 5.086
2.568 -2.568 5.086
2.568 2.568 -5.086
La Tb
1 3
Cartesian
0.000 0.000 0.000
2.568 0.000 2.543
0.000 0.000 5.086
0.000 2.568 2.543
```


(12)
Entry from the Materials Project: a geometry-optimized TbSnGe structure (r²SCAN).

Properties
- space group = Cmcm, No. 63
- crystal system = orthorhombic
- ΔH_f (0 K) (meV per atom) = -696
- DFT total energy (Ry/atom) = -1.762

POSCAR file:
```
TbSnGe
1.0
2.117 -8.412 0.000
2.117 8.412 0.000
0.000 0.000 4.035
Tb Sn Ge
2 2 2
Cartesian
2.117 6.800 3.026
2.117 -6.800 1.009
2.117 4.063 1.009
2.117 -4.063 3.026
2.117 0.831 3.026
2.117 -0.831 1.009
```


(13)
Entry from the Materials Project: a geometry-optimized MnBr2 structure (r²SCAN).

Properties
- space group = P-3m1, No. 164
- crystal system = trigonal
- ΔH_f (0 K) (meV per atom) = -1291
- DFT total energy (Ry/atom) = -1.104

POSCAR file:
```
MnBr2
1.0
3.871 0.000 0.000
-1.936 3.353 0.000
0.000 0.000 6.483
Mn Br
1 2
Cartesian
0.000 0.000 0.000
0.000 2.235 1.505
1.936 1.118 4.978
```


(14)
Entry from the Materials Project: a geometry-optimized LiErO2 structure (r²SCAN).

Properties
- ΔE to the lowest computed polymorph (kJ/mol of formula units) = 2.1
- space group = I4_1/amd, No. 141
- crystal system = tetragonal
- ΔH_f (0 K) (meV per atom) = -3250
- DFT total energy (Ry/atom) = -1.126

POSCAR file:
```
LiErO2
1.0
-2.186 2.186 5.123
2.186 -2.186 5.123
2.186 2.186 -5.123
Li Er O
2 2 4
Cartesian
2.186 1.093 1.281
0.000 1.093 3.842
2.186 -1.093 3.842
0.000 3.279 1.281
2.186 1.093 -1.569
0.000 1.093 0.993
2.186 1.093 4.130
0.000 1.093 6.691
```


(15)
Entry from the Materials Project: a geometry-optimized CsO2 structure (r²SCAN).

Properties
- ΔE to the lowest computed polymorph (kJ/mol of formula units) = 10.1
- space group = I4/mmm, No. 139
- crystal system = tetragonal
- ΔH_f (0 K) (meV per atom) = -923
- DFT total energy (Ry/atom) = -0.976

POSCAR file:
```
CsO2
1.0
-2.183 2.183 3.627
2.183 -2.183 3.627
2.183 2.183 -3.627
Cs O
1 2
Cartesian
0.000 0.000 0.000
0.000 0.000 2.957
0.000 0.000 4.297
```


(16)
Entry from the Materials Project: a geometry-optimized ThCd2 structure (r²SCAN).

Properties
- space group = P6/mmm, No. 191
- crystal system = hexagonal
- ΔH_f (0 K) (meV per atom) = -217
- DFT total energy (Ry/atom) = -2.801

POSCAR file:
```
ThCd2
1.0
5.089 0.000 0.000
-2.545 4.408 0.000
0.000 0.000 3.390
Th Cd
1 2
Cartesian
0.000 0.000 0.000
0.000 2.938 1.695
2.545 1.469 1.695
```


(17)
Entry from the Materials Project: a geometry-optimized Sr3PbO structure (r²SCAN).

Properties
- space group = Pm-3m, No. 221
- crystal system = cubic
- ΔH_f (0 K) (meV per atom) = -1645
- DFT total energy (Ry/atom) = -1.704

POSCAR file:
```
Sr3PbO
1.0
5.173 0.000 0.000
0.000 5.173 0.000
0.000 0.000 5.173
Sr Pb O
3 1 1
Cartesian
0.000 0.000 2.586
0.000 2.586 0.000
2.586 0.000 0.000
2.586 2.586 2.586
0.000 0.000 0.000
```


(18)
Entry from the Materials Project: a geometry-optimized Pm2S3 structure (r²SCAN).

Properties
- space group = R-3c, No. 167
- crystal system = trigonal
- ΔH_f (0 K) (meV per atom) = -2333
- DFT total energy (Ry/atom) = -1.394

POSCAR file:
```
Pm2S3
1.0
3.562 2.056 6.273
-3.562 2.056 6.273
0.000 -4.113 6.273
Pm S
4 6
Cartesian
0.000 0.000 2.763
0.000 0.000 6.646
0.000 0.000 12.172
0.000 0.000 16.055
-2.504 -0.224 7.841
-1.058 -2.281 10.977
1.446 -2.056 7.841
-1.446 2.056 10.977
1.058 2.281 7.841
2.504 0.224 10.977
```


(19)
Entry from the Materials Project: a geometry-optimized ZrMoW structure (r²SCAN).

Properties
- space group = Imma, No. 74
- crystal system = orthorhombic
- ΔH_f (0 K) (meV per atom) = -135
- DFT total energy (Ry/atom) = -2.465

POSCAR file:
```
ZrMoW
1.0
-2.683 2.703 3.810
2.683 -2.703 3.810
2.683 2.703 -3.810
Zr Mo W
2 2 2
Cartesian
0.000 1.352 0.953
2.683 1.352 2.857
1.341 1.352 -1.905
1.341 -1.352 1.905
2.683 0.000 0.000
0.000 0.000 3.810
```


(20)
Entry from the Materials Project: a geometry-optimized Ca5Ga2As6 structure (r²SCAN).

Properties
- space group = Pbam, No. 55
- crystal system = orthorhombic
- ΔH_f (0 K) (meV per atom) = -1125
- DFT total energy (Ry/atom) = -0.910

POSCAR file:
```
Ca5Ga2As6
1.0
11.396 0.000 0.000
0.000 13.181 0.000
0.000 0.000 4.147
Ca Ga As
10 4 12
Cartesian
0.000 0.000 0.000
1.011 3.317 0.000
1.992 6.783 0.000
3.705 0.193 0.000
4.686 9.908 0.000
5.698 6.591 0.000
6.709 3.274 0.000
7.690 12.989 0.000
9.403 6.398 0.000
10.384 9.864 0.000
1.964 9.390 2.074
3.734 2.799 2.074
7.662 10.382 2.074
9.432 3.791 2.074
0.219 5.361 2.074
1.781 1.284 2.074
1.839 10.792 0.000
3.859 4.201 0.000
3.917 7.875 2.074
5.479 11.952 2.074
5.916 1.230 2.074
7.479 5.307 2.074
7.537 8.980 0.000
9.557 2.389 0.000
9.615 11.897 2.074
11.177 7.820 2.074
```